No. 1
NaPO3, relaxed, DFT PBE; calculated density = 2.50 g cm⁻³; DFT formation energy = -2.6357 eV/atom; SG = P2_1/c (14)
1.0
7.751 0.000 0.000
0.000 6.101 0.000
-6.910 0.000 11.473
Na P O
8 8 24
direct
0.192 0.171 0.001
0.192 0.329 0.501
0.193 0.574 0.805
0.193 0.926 0.305
0.807 0.074 0.695
0.807 0.426 0.195
0.808 0.671 0.499
0.808 0.829 0.999
0.276 0.655 0.097
0.276 0.845 0.597
0.344 0.079 0.810
0.344 0.421 0.310
0.656 0.579 0.690
0.656 0.921 0.190
0.724 0.155 0.403
0.724 0.345 0.903
0.159 0.155 0.810
0.159 0.345 0.310
0.176 0.650 0.615
0.176 0.850 0.115
0.196 0.564 0.978
0.196 0.936 0.478
0.285 0.054 0.675
0.285 0.446 0.175
0.454 0.622 0.377
0.454 0.878 0.877
0.484 0.204 0.346
0.484 0.296 0.846
0.516 0.704 0.154
0.516 0.796 0.654
0.546 0.122 0.123
0.546 0.378 0.623
0.715 0.554 0.825
0.715 0.946 0.325
0.804 0.064 0.522
0.804 0.436 0.022
0.824 0.150 0.885
0.824 0.350 0.385
0.841 0.655 0.690
0.841 0.845 0.190

---

No. 2
Na8PO3, relaxed, DFT PBE; calculated density = 2.09 g cm⁻³; magnetic moment = 1.0 μB/f.u.; DFT formation energy = -0.9948 eV/atom; SG = Pm-3m (221)
1.0
5.936 0.000 0.000
0.000 5.936 0.000
0.000 0.000 5.936
Na P O
8 1 3
direct
0.236 0.236 0.236
0.236 0.236 0.764
0.236 0.764 0.236
0.236 0.764 0.764
0.764 0.236 0.236
0.764 0.236 0.764
0.764 0.764 0.236
0.764 0.764 0.764
0.500 0.500 0.500
0.000 0.000 0.500
0.000 0.500 0.000
0.500 0.000 0.000

---

No. 3
NaPO, relaxed, DFT PBE; calculated density = 2.68 g cm⁻³; magnetic moment = 0.0 μB/f.u.; ΔE to the lowest computed polymorph = 0 meV per atom; DFT formation energy = -0.8258 eV/atom; SG = Imma (74)
1.0
-3.653 4.349 1.362
3.653 -4.349 1.362
3.653 4.349 -1.362
Na P O
2 2 2
direct
0.000 0.000 0.000
0.500 0.000 0.500
0.500 0.000 0.000
0.500 0.500 0.500
0.466 0.716 0.750
0.534 0.284 0.250

---

| no. | volume (Å³/f.u.) |
| --- | --- |
| 1 | 67.8 |
| 2 | 209.2 |
| 3 | 43.3 |